The following is a PBE-GGA calculation of a relaxed NaCeP4O12 crystal, from the Materials Project database.

Unit cell a=7.340 b=10.108 c=13.339 alpha=90.00 beta=90.00 gamma=90.18
Fractional coordinates of all 72 atoms:
O 0.590 0.788 0.080
P 0.749 0.243 0.100
Ce 0.986 0.023 0.782
Na 0.999 0.565 0.280
O 0.869 0.153 0.312
P 0.229 0.302 0.910
P 0.729 0.802 0.590
P 0.618 0.236 0.886
P 0.751 0.257 0.600
P 0.771 0.698 0.090
O 0.573 0.710 0.610
O 0.286 0.135 0.521
P 0.118 0.736 0.614
O 0.714 0.865 0.479
O 0.573 0.168 0.621
O 0.287 0.711 0.014
O 0.596 0.294 0.164
O 0.287 0.597 0.393
O 0.904 0.206 0.664
O 0.243 0.084 0.340
O 0.786 0.635 0.979
O 0.787 0.211 0.486
P 0.249 0.743 0.400
Ce 0.514 0.477 0.282
Na 0.499 0.065 0.220
O 0.410 0.212 0.920
O 0.319 0.340 0.634
O 0.819 0.840 0.866
O 0.757 0.916 0.660
O 0.787 0.097 0.107
Na 0.501 0.935 0.780
O 0.073 0.668 0.879
O 0.927 0.332 0.121
P 0.643 0.806 0.373
O 0.809 0.397 0.355
P 0.271 0.198 0.410
O 0.131 0.847 0.688
P 0.251 0.757 0.900
O 0.910 0.712 0.580
Na 0.001 0.435 0.720
O 0.427 0.290 0.390
O 0.289 0.102 0.708
Ce 0.014 0.977 0.218
O 0.927 0.790 0.110
O 0.309 0.897 0.145
O 0.713 0.289 0.986
O 0.713 0.403 0.607
O 0.631 0.347 0.812
O 0.213 0.789 0.514
Ce 0.486 0.523 0.718
P 0.143 0.306 0.127
P 0.382 0.764 0.114
P 0.857 0.694 0.873
O 0.191 0.603 0.645
O 0.211 0.398 0.208
O 0.073 0.210 0.890
O 0.711 0.898 0.292
O 0.369 0.653 0.188
O 0.214 0.365 0.021
P 0.357 0.194 0.627
O 0.691 0.103 0.855
O 0.789 0.602 0.792
O 0.213 0.903 0.893
O 0.743 0.584 0.160
P 0.882 0.264 0.386
O 0.404 0.706 0.836
O 0.257 0.416 0.840
O 0.090 0.288 0.420
O 0.181 0.160 0.134
O 0.427 0.832 0.379
O 0.681 0.660 0.366
O 0.096 0.794 0.336

For the magnetic moment, the calculation gives 4.000 μB/cell. The energy of formation is -2.877 eV/atom. As for the space group: P2_1/c, No. 14.